Computed, not measured: a relaxed structure of Zr2N2O at the GGA-PBE level of DFT. Values from VASP.

Results
Crystal system: triclinic
V (Å³ per atom): 13.5
Energy of formation (meV/atom): -2188

```
&SYSTEM
  ibrav = 0, nat = 40, ntyp = 3
/
ATOMIC_SPECIES
Zr 91.22 Zr.upf
N 14.01 N.upf
O 16.00 O.upf
CELL_PARAMETERS angstrom
8.881 0.000 0.000
-2.983 8.360 0.000
-2.952 -4.155 7.250
ATOMIC_POSITIONS crystal
Zr 0.753 0.968 0.207
Zr 0.996 0.989 0.990
Zr 0.034 0.777 0.245
Zr 0.502 0.504 0.003
Zr 0.530 0.280 0.246
Zr 0.499 0.992 0.501
Zr 0.257 0.542 0.288
Zr 0.293 0.268 0.552
Zr 0.713 0.744 0.460
Zr 0.786 0.250 0.038
Zr 0.207 0.748 0.961
Zr 0.755 0.463 0.724
Zr 0.008 0.499 0.500
Zr 0.464 0.715 0.744
Zr 0.964 0.217 0.750
Zr 0.240 0.029 0.787
N 0.732 0.968 0.960
N 0.756 0.225 0.275
N 0.453 0.483 0.224
N 0.723 0.235 0.771
N 0.772 0.733 0.240
N 0.228 0.272 0.762
N 0.987 0.532 0.257
N 0.512 0.776 0.544
N 0.954 0.729 0.968
N 0.546 0.513 0.775
N 0.224 0.450 0.486
N 0.279 0.767 0.229
N 0.962 0.951 0.726
N 0.240 0.775 0.724
N 0.011 0.466 0.739
N 0.273 0.039 0.046
O 0.537 0.266 0.991
O 0.737 0.012 0.466
O 0.044 0.272 0.030
O 0.768 0.543 0.512
O 0.038 0.048 0.276
O 0.467 0.739 0.013
O 0.265 0.993 0.532
O 0.490 0.229 0.456
```

***

Computed, not measured: a relaxed structure of Li17Nb20O60 at the GGA-PBE level of DFT. Values from VASP.

Results
Crystal system: triclinic
Magnetic moment (Bohr magnetons per cell): 2.7
V (Å³ per atom): 11.6
Energy of formation (meV/atom): -2835

```
&SYSTEM
  ibrav = 0, nat = 97, ntyp = 3
/
ATOMIC_SPECIES
Li 6.94 Li.upf
Nb 92.91 Nb.upf
O 16.00 O.upf
CELL_PARAMETERS angstrom
-4.871 1.694 2.183
-2.972 -2.961 3.722
-6.947 14.778 53.584
ATOMIC_POSITIONS crystal
Li 0.295 0.295 0.029
Li 0.292 0.292 0.130
Li 0.795 0.796 0.179
Li 0.296 0.295 0.329
Li 0.793 0.795 0.280
Li 0.294 0.295 0.429
Li 0.795 0.794 0.379
Li 0.294 0.295 0.529
Li 0.795 0.794 0.479
Li 0.293 0.295 0.630
Li 0.795 0.793 0.580
Li 0.292 0.295 0.730
Li 0.795 0.793 0.680
Li 0.290 0.296 0.830
Li 0.795 0.791 0.780
Li 0.797 0.798 0.879
Li 0.792 0.792 0.980
Nb 0.023 0.016 0.000
Nb 0.008 0.017 0.101
Nb 0.505 0.515 0.053
Nb 0.014 0.009 0.203
Nb 0.515 0.523 0.151
Nb 0.019 0.024 0.301
Nb 0.517 0.511 0.251
Nb 0.016 0.015 0.402
Nb 0.515 0.516 0.352
Nb 0.016 0.017 0.502
Nb 0.516 0.517 0.452
Nb 0.016 0.016 0.602
Nb 0.516 0.517 0.552
Nb 0.016 0.016 0.702
Nb 0.516 0.517 0.652
Nb 0.017 0.014 0.802
Nb 0.515 0.517 0.752
Nb 0.016 0.017 0.902
Nb 0.516 0.516 0.852
Nb 0.525 0.509 0.950
O 0.163 0.345 0.073
O 0.370 0.749 0.013
O 0.736 0.166 0.034
O 0.244 0.880 0.063
O 0.621 0.250 0.089
O 0.128 0.371 0.175
O 0.869 0.629 0.025
O 0.344 0.726 0.116
O 0.734 0.133 0.137
O 0.248 0.870 0.163
O 0.666 0.234 0.184
O 0.123 0.383 0.275
O 0.877 0.627 0.124
O 0.381 0.745 0.212
O 0.750 0.122 0.239
O 0.230 0.845 0.266
O 0.638 0.234 0.287
O 0.125 0.374 0.374
O 0.848 0.662 0.223
O 0.374 0.742 0.313
O 0.733 0.130 0.337
O 0.235 0.874 0.363
O 0.626 0.235 0.388
O 0.127 0.374 0.474
O 0.872 0.626 0.325
O 0.375 0.736 0.413
O 0.738 0.126 0.438
O 0.238 0.874 0.463
O 0.626 0.238 0.488
O 0.127 0.374 0.574
O 0.875 0.626 0.424
O 0.375 0.737 0.513
O 0.739 0.126 0.538
O 0.238 0.874 0.563
O 0.626 0.239 0.588
O 0.127 0.374 0.674
O 0.875 0.627 0.524
O 0.375 0.737 0.613
O 0.739 0.126 0.638
O 0.238 0.875 0.663
O 0.626 0.239 0.688
O 0.128 0.373 0.774
O 0.874 0.627 0.624
O 0.375 0.737 0.713
O 0.740 0.125 0.738
O 0.237 0.876 0.762
O 0.624 0.242 0.788
O 0.129 0.378 0.873
O 0.874 0.628 0.724
O 0.377 0.738 0.812
O 0.739 0.125 0.837
O 0.246 0.872 0.863
O 0.657 0.239 0.885
O 0.127 0.377 0.974
O 0.874 0.634 0.823
O 0.379 0.749 0.912
O 0.753 0.124 0.938
O 0.227 0.839 0.966
O 0.634 0.234 0.987
O 0.848 0.663 0.923
```

***

Computed, not measured: a relaxed structure of LiTiS2 at the GGA-PBE level of DFT. Values from VASP.

Results
Crystal system: cubic
Magnetic moment (Bohr magnetons per cell): 0.0
V (Å³ per atom): 15.9
Energy of formation (meV/atom): -1643

```
&SYSTEM
  ibrav = 0, nat = 16, ntyp = 3
/
ATOMIC_SPECIES
Li 6.94 Li.upf
Ti 47.87 Ti.upf
S 32.06 S.upf
CELL_PARAMETERS angstrom
-6.891 -1.292 1.196
-3.844 4.537 3.902
-4.966 4.036 -3.104
ATOMIC_POSITIONS crystal
Li 0.125 0.125 0.125
Li 0.625 0.125 0.125
Li 0.125 0.625 0.125
Li 0.125 0.125 0.625
Ti 0.625 0.625 0.125
Ti 0.625 0.625 0.625
Ti 0.625 0.125 0.625
Ti 0.125 0.625 0.625
S 0.872 0.383 0.872
S 0.872 0.872 0.383
S 0.872 0.872 0.872
S 0.383 0.872 0.872
S 0.378 0.378 0.378
S 0.867 0.378 0.378
S 0.378 0.867 0.378
S 0.378 0.378 0.867
```

***

Computed, not measured: a relaxed structure of InAg3 at the GGA-PBE level of DFT. Values from VASP.

Results
Crystal system: cubic
V (Å³ per atom): 19.2
Energy of formation (meV/atom): -33

```
&SYSTEM
  ibrav = 0, nat = 4, ntyp = 2
/
ATOMIC_SPECIES
In 114.82 In.upf
Ag 107.87 Ag.upf
CELL_PARAMETERS angstrom
4.247 0.000 0.000
0.000 4.247 0.000
0.000 0.000 4.247
ATOMIC_POSITIONS crystal
In 0.000 0.000 0.000
Ag 0.000 0.500 0.500
Ag 0.500 0.500 0.000
Ag 0.500 0.000 0.500
```

***

Computed, not measured: a relaxed structure of Zr3Sn at the GGA-PBE level of DFT. Values from VASP.

Results
Crystal system: cubic
V (Å³ per atom): 22.6
Energy of formation (meV/atom): -365

```
&SYSTEM
  ibrav = 0, nat = 8, ntyp = 2
/
ATOMIC_SPECIES
Zr 91.22 Zr.upf
Sn 118.71 Sn.upf
CELL_PARAMETERS angstrom
5.651 0.000 0.000
0.000 5.651 0.000
0.000 0.000 5.651
ATOMIC_POSITIONS crystal
Zr 0.500 0.250 0.000
Zr 0.500 0.750 0.000
Zr 0.250 0.000 0.500
Zr 0.750 0.000 0.500
Zr 0.000 0.500 0.250
Zr 0.000 0.500 0.750
Sn 0.500 0.500 0.500
Sn 0.000 0.000 0.000
```

***

Computed, not measured: a relaxed structure of Mg5In2 at the GGA-PBE level of DFT. Values from VASP.

Results
Crystal system: orthorhombic
V (Å³ per atom): 23.5
Energy of formation (meV/atom): -73

```
&SYSTEM
  ibrav = 0, nat = 14, ntyp = 2
/
ATOMIC_SPECIES
Mg 24.30 Mg.upf
In 114.82 In.upf
CELL_PARAMETERS angstrom
8.455 1.446 0.957
1.983 8.316 -1.181
-5.318 -4.665 4.945
ATOMIC_POSITIONS crystal
Mg 0.075 0.414 0.661
Mg 0.925 0.586 0.339
Mg 0.247 0.086 0.161
Mg 0.753 0.914 0.839
Mg 0.500 0.250 0.750
Mg 0.500 0.750 0.250
Mg 0.733 0.483 0.750
Mg 0.267 0.017 0.750
Mg 0.267 0.517 0.250
Mg 0.733 0.983 0.250
In 0.644 0.377 0.267
In 0.356 0.623 0.733
In 0.889 0.123 0.767
In 0.111 0.877 0.233
```

***

Computed, not measured: a relaxed structure of Cs2ZnH12S2O14 at the GGA-PBE level of DFT. Values from VASP.

Results
Crystal system: monoclinic
V (Å³ per atom): 12.0
Energy of formation (meV/atom): -1630

```
&SYSTEM
  ibrav = 0, nat = 62, ntyp = 5
/
ATOMIC_SPECIES
Cs 132.91 Cs.upf
Zn 65.41 Zn.upf
H 1.01 H.upf
S 32.06 S.upf
O 16.00 O.upf
CELL_PARAMETERS angstrom
-6.120 -10.648 3.983
5.161 -1.671 3.462
-1.109 3.813 8.489
ATOMIC_POSITIONS crystal
Cs 0.356 0.644 0.127
Cs 0.856 0.356 0.373
Cs 0.144 0.644 0.627
Cs 0.644 0.356 0.873
Zn 0.000 0.000 0.000
Zn 0.500 0.000 0.500
H 0.059 0.337 0.094
H 0.860 0.687 0.026
H 0.403 0.066 0.224
H 0.630 0.082 0.264
H 0.102 0.685 0.209
H 0.317 0.009 0.350
H 0.817 0.991 0.150
H 0.602 0.315 0.291
H 0.130 0.918 0.236
H 0.903 0.934 0.276
H 0.360 0.313 0.474
H 0.559 0.663 0.406
H 0.441 0.337 0.594
H 0.640 0.687 0.526
H 0.097 0.066 0.724
H 0.870 0.082 0.764
H 0.398 0.685 0.709
H 0.183 0.009 0.850
H 0.683 0.991 0.650
H 0.898 0.315 0.791
H 0.370 0.918 0.736
H 0.597 0.934 0.776
H 0.140 0.313 0.974
H 0.941 0.663 0.906
S 0.647 0.741 0.105
S 0.147 0.259 0.395
S 0.853 0.741 0.605
S 0.353 0.259 0.895
O 0.064 0.299 0.999
O 0.418 0.199 0.032
O 0.891 0.019 0.171
O 0.739 0.613 0.082
O 0.683 0.942 0.142
O 0.113 0.842 0.160
O 0.085 0.398 0.268
O 0.585 0.602 0.232
O 0.613 0.158 0.340
O 0.183 0.058 0.358
O 0.239 0.387 0.418
O 0.391 0.981 0.329
O 0.436 0.299 0.499
O 0.082 0.199 0.532
O 0.918 0.801 0.468
O 0.564 0.701 0.501
O 0.609 0.019 0.671
O 0.761 0.613 0.582
O 0.817 0.942 0.642
O 0.387 0.842 0.660
O 0.415 0.398 0.768
O 0.915 0.602 0.732
O 0.887 0.158 0.840
O 0.317 0.058 0.858
O 0.261 0.387 0.918
O 0.109 0.981 0.829
O 0.582 0.801 0.968
O 0.936 0.701 0.001
```

***

Computed, not measured: a relaxed structure of Na5In3SnP6O24 at the GGA-PBE level of DFT. Values from VASP.

Results
Crystal system: triclinic
Magnetic moment (Bohr magnetons per cell): 0.0
V (Å³ per atom): 13.8
Energy of formation (meV/atom): -2519

```
&SYSTEM
  ibrav = 0, nat = 117, ntyp = 5
/
ATOMIC_SPECIES
Na 22.99 Na.upf
In 114.82 In.upf
Sn 118.71 Sn.upf
P 30.97 P.upf
O 16.00 O.upf
CELL_PARAMETERS angstrom
9.054 0.001 -0.003
-4.527 7.841 0.005
-0.008 0.011 22.703
ATOMIC_POSITIONS crystal
Na 0.638 0.001 0.255
Na 0.364 0.364 0.256
Na 0.999 0.636 0.255
Na 0.646 0.640 0.749
Na 0.996 0.358 0.750
Na 0.033 0.701 0.580
Na 0.666 0.966 0.580
Na 0.666 0.700 0.080
Na 0.034 0.332 0.080
Na 0.014 0.014 0.495
Na 0.014 0.999 0.994
Na 0.652 0.318 0.835
Na 0.666 0.333 0.340
Na 0.332 0.680 0.166
Na 0.333 0.665 0.664
In 0.999 0.999 0.354
In 0.002 0.000 0.853
In 0.010 0.007 0.650
In 0.007 0.000 0.148
In 0.656 0.327 0.683
In 0.663 0.330 0.181
In 0.333 0.673 0.014
In 0.333 0.660 0.513
In 0.333 0.666 0.324
Sn 0.664 0.331 0.979
Sn 0.663 0.333 0.481
Sn 0.334 0.673 0.820
P 0.295 0.998 0.250
P 0.703 0.704 0.248
P 0.001 0.297 0.248
P 0.297 0.302 0.753
P 0.005 0.703 0.750
P 0.700 0.996 0.750
P 0.960 0.333 0.585
P 0.371 0.037 0.582
P 0.667 0.629 0.585
P 0.960 0.627 0.083
P 0.667 0.038 0.084
P 0.371 0.333 0.082
P 0.631 0.663 0.918
P 0.032 0.369 0.918
P 0.336 0.968 0.917
P 0.636 0.973 0.418
P 0.337 0.364 0.416
P 0.028 0.663 0.418
O 0.214 0.034 0.303
O 0.824 0.791 0.300
O 0.967 0.176 0.300
O 0.217 0.194 0.807
O 0.969 0.789 0.801
O 0.821 0.030 0.802
O 0.772 0.960 0.693
O 0.184 0.230 0.697
O 0.033 0.802 0.691
O 0.773 0.807 0.190
O 0.033 0.227 0.190
O 0.186 0.960 0.194
O 0.886 0.363 0.642
O 0.480 0.111 0.638
O 0.643 0.534 0.644
O 0.887 0.525 0.141
O 0.643 0.108 0.143
O 0.472 0.362 0.140
O 0.464 0.311 0.029
O 0.837 0.533 0.030
O 0.695 0.160 0.031
O 0.456 0.149 0.527
O 0.696 0.537 0.533
O 0.836 0.302 0.532
O 0.550 0.683 0.975
O 0.134 0.450 0.975
O 0.313 0.865 0.973
O 0.549 0.867 0.474
O 0.315 0.454 0.469
O 0.134 0.682 0.474
O 0.107 0.639 0.361
O 0.532 0.892 0.361
O 0.361 0.463 0.357
O 0.120 0.482 0.862
O 0.365 0.884 0.862
O 0.518 0.640 0.862
O 0.005 0.820 0.415
O 0.815 0.995 0.415
O 0.180 0.184 0.413
O 0.010 0.190 0.913
O 0.180 0.990 0.912
O 0.810 0.820 0.912
O 0.970 0.167 0.588
O 0.189 0.014 0.586
O 0.833 0.808 0.587
O 0.970 0.803 0.085
O 0.833 0.025 0.085
O 0.189 0.176 0.084
O 0.682 0.157 0.745
O 0.481 0.334 0.747
O 0.844 0.520 0.746
O 0.680 0.522 0.245
O 0.841 0.319 0.245
O 0.477 0.159 0.245
O 0.643 0.496 0.920
O 0.853 0.357 0.920
O 0.503 0.147 0.920
O 0.652 0.153 0.422
O 0.502 0.351 0.421
O 0.848 0.499 0.423
O 0.354 0.496 0.077
O 0.136 0.640 0.077
O 0.513 0.855 0.078
O 0.351 0.856 0.577
O 0.512 0.658 0.578
O 0.136 0.496 0.578
O 0.317 0.838 0.257
O 0.523 0.687 0.255
O 0.162 0.478 0.255
O 0.314 0.486 0.759
O 0.163 0.678 0.757
O 0.522 0.829 0.758
```